1.
Density functional theory data (PBE) for a relaxed structure of SrZr7N10.

```
36
Lattice="-4.799 -3.475 -3.029 0.924 -5.175 4.473 -9.662 5.327 8.158" Properties=species:S:1:pos:R:3 pbc="T T T"
Sr -10.137 -0.057 2.619
Sr -4.484 -7.321 2.517
Zr -10.809 2.103 5.175
Zr -5.143 -5.240 5.141
Zr -1.420 -6.164 3.396
Zr -7.102 1.269 3.353
Zr -0.963 -2.158 2.137
Zr -5.640 -0.360 6.964
Zr -12.484 0.726 7.783
Zr -7.486 -2.871 4.511
Zr -11.286 -1.982 6.440
Zr -6.642 -3.599 1.457
Zr -9.429 0.525 8.912
Zr -4.777 -1.136 3.966
Zr -8.625 -0.251 5.934
Zr -3.641 -3.772 2.597
N -10.722 -3.290 7.840
N -6.604 -1.964 0.312
N -12.545 2.387 6.595
N -7.005 -4.244 5.945
N -9.538 -1.101 10.080
N -5.411 0.178 2.592
N -1.288 -0.930 0.619
N -5.443 -2.053 7.971
N -7.574 0.407 7.728
N -2.807 -1.900 3.341
N -8.912 1.188 4.569
N -3.392 -5.335 3.826
N -4.721 -4.560 0.785
N -9.510 -2.130 5.066
N -8.558 2.256 9.955
N -3.771 -0.162 5.664
N -10.554 0.060 6.953
N -5.616 -3.207 3.395
N -1.772 -4.133 1.486
N -6.703 -0.909 5.082
```

Results
energy of formation = -2624 kJ/mol of formula units
space group = Pc
electronic total energy = -9.359 eV per atom
total energy after the MP2020 corrections = -9.5600 eV per atom
magnetic moment = 0.00 Bohr magnetons per cell

=====

2.
Density functional theory data (PBE) for a relaxed structure of Mg6SnC.

```
16
Lattice="-1.468 -3.190 3.228 4.823 1.658 3.833 -6.128 7.390 4.515" Properties=species:S:1:pos:R:3 pbc="T T T"
Mg -2.375 4.728 3.591
Mg 0.043 5.559 5.513
Mg -2.142 1.818 4.346
Mg 0.468 2.715 6.420
Mg -4.813 3.324 4.619
Mg -1.804 -0.304 2.402
Mg 3.101 1.862 3.250
Mg 0.696 1.035 1.339
Mg -2.795 6.342 8.519
Mg -5.008 5.581 6.761
Mg 0.663 0.458 4.278
Mg -2.457 4.220 6.576
Sn -5.112 6.165 3.766
Sn 0.363 3.299 3.425
C -2.068 2.493 1.523
C -2.720 7.018 5.697
```

Results
energy of formation = 395 kJ/mol of formula units
electronic total energy = -2.343 eV per atom
magnetic moment = 0.01 Bohr magnetons per cell

=====

3.
Density functional theory data (PBE) for a relaxed structure of Tb2InAg.

```
4
Lattice="3.709 0.000 0.000 0.000 3.709 0.000 0.000 0.000 7.509" Properties=species:S:1:pos:R:3 pbc="T T T"
Tb 1.855 1.855 1.774
Tb 1.855 1.855 5.735
In 0.000 0.000 3.754
Ag 0.000 0.000 0.000
```

Results
energy of formation = -151 kJ/mol of formula units
space group = P4/mmm
electronic total energy = -4.104 eV per atom

=====

4.
Density functional theory data (PBE) for a relaxed structure of Sr2CuP2O8.

```
13
Lattice="3.921 -5.015 -0.079 3.937 -2.307 -4.439 6.002 2.480 1.563" Properties=species:S:1:pos:R:3 pbc="T T T"
Sr 7.818 -5.535 -3.409
Sr 6.042 0.694 0.453
Cu 6.930 -2.421 -1.478
P 2.859 -0.324 -0.191
P 11.000 -4.517 -2.764
O 6.288 -0.616 -1.899
O 7.580 -2.845 -3.279
O 7.572 -4.225 -1.056
O 6.280 -1.996 0.324
O 2.981 -1.635 -1.005
O 12.463 -4.893 -2.993
O 1.397 0.052 0.038
O 10.878 -3.206 -1.951
```

Results
energy of formation = -3618 kJ/mol of formula units
space group = C2/m
electronic total energy = -6.915 eV per atom
total energy after the MP2020 corrections = -7.3376 eV per atom
magnetic moment = 1.00 Bohr magnetons per cell

=====

5.
Density functional theory data (PBE) for a relaxed structure of K2BeCl4.

```
28
Lattice="-6.813 0.909 1.020 0.478 8.024 -3.952 -2.312 -5.191 -10.819" Properties=species:S:1:pos:R:3 pbc="T T T"
K -5.606 3.145 -4.742
K -3.041 0.597 -9.010
K -3.130 3.872 -12.521
K -5.517 -0.130 -1.230
K -6.060 4.455 -8.941
K -2.587 -0.713 -4.811
K -1.593 4.995 -3.253
K -7.054 -1.253 -10.499
Be -6.875 2.057 -12.247
Be -1.772 1.685 -1.504
Be -2.329 3.910 -7.205
Be -6.318 -0.168 -6.546
Cl -8.365 2.017 -10.866
Cl -0.282 1.725 -2.885
Cl -0.490 4.735 -6.951
Cl -3.534 2.159 -2.398
Cl -8.157 -0.993 -6.800
Cl -5.113 1.583 -11.353
Cl -4.905 -1.426 -7.287
Cl -3.742 5.168 -6.464
Cl -6.754 3.902 -13.082
Cl -1.893 -0.160 -0.670
Cl -2.425 2.122 -6.251
Cl -6.222 1.620 -7.500
Cl -5.991 0.019 -4.531
Cl -2.656 3.723 -9.220
Cl -3.683 -2.058 -10.930
Cl -4.964 5.800 -2.822
```

Results
energy of formation = -1436 kJ/mol of formula units
space group = Pnma
electronic total energy = -3.683 eV per atom
total energy after the MP2020 corrections = -4.0337 eV per atom

=====

6.
Density functional theory data (PBE) for a relaxed structure of Nb14S5.

```
76
Lattice="3.404 0.000 0.000 0.000 18.678 0.000 0.000 0.000 19.989" Properties=species:S:1:pos:R:3 pbc="T T T"
Nb 0.851 8.715 19.107
Nb 0.851 9.514 5.464
Nb 0.851 17.702 17.689
Nb 2.553 7.421 17.278
Nb 2.553 16.095 9.608
Nb 2.553 0.932 18.978
Nb 0.851 11.256 2.712
Nb 2.553 15.479 16.960
Nb 0.851 4.777 5.918
Nb 0.851 8.032 2.427
Nb 0.851 13.079 16.447
Nb 0.851 17.745 1.011
Nb 0.851 16.040 14.839
Nb 2.553 10.646 17.562
Nb 2.553 0.975 2.300
Nb 2.553 11.977 4.844
Nb 2.553 13.435 1.630
Nb 2.553 10.314 7.694
Nb 2.553 10.271 11.006
Nb 2.553 0.624 9.112
Nb 2.553 6.756 0.386
Nb 2.553 5.599 3.542
Nb 2.553 16.479 3.322
Nb 2.553 9.163 14.526
Nb 2.553 13.109 9.314
Nb 0.851 2.583 10.381
Nb 0.851 12.538 6.966
Nb 0.851 2.199 16.667
Nb 0.851 8.363 12.295
Nb 0.851 11.922 19.603
Nb 2.553 14.938 6.452
Nb 2.553 9.962 0.882
Nb 0.851 8.406 8.984
Nb 2.553 13.900 14.072
Nb 2.553 18.502 15.458
Nb 0.851 3.740 13.537
Nb 0.851 14.581 11.625
Nb 0.851 14.908 19.308
Nb 2.553 3.770 0.681
Nb 0.851 17.371 7.567
Nb 0.851 18.054 10.877
Nb 0.851 3.199 3.029
Nb 0.851 0.176 4.531
Nb 2.553 4.096 8.365
Nb 2.553 16.760 12.706
Nb 2.553 1.307 12.422
Nb 0.851 1.917 7.283
Nb 2.553 7.140 6.673
Nb 0.851 6.701 15.145
Nb 0.851 5.242 18.359
Nb 0.851 5.569 10.676
Nb 0.851 11.537 13.317
Nb 2.553 6.140 13.023
Nb 0.851 14.116 4.077
Nb 2.553 2.638 5.151
Nb 2.553 4.562 15.912
S 0.851 1.818 0.668
S 2.553 16.859 19.322
S 0.851 7.093 4.778
S 0.851 16.432 5.217
S 0.851 5.412 1.591
S 0.851 11.157 9.327
S 2.553 2.246 14.773
S 2.553 7.521 10.662
S 2.553 3.310 18.210
S 2.553 12.649 11.774
S 2.553 9.610 3.549
S 0.851 9.067 16.440
S 0.851 14.751 8.404
S 0.851 18.406 13.544
S 2.553 3.927 11.585
S 2.553 13.266 18.399
S 0.851 6.028 8.215
S 0.851 15.367 1.780
S 2.553 11.584 15.211
S 2.553 0.272 6.446
```

Results
energy of formation = -1209 kJ/mol of formula units
space group = Pnma
electronic total energy = -9.059 eV per atom
total energy after the MP2020 corrections = -9.1909 eV per atom
magnetic moment = 0.00 Bohr magnetons per cell

=====

7.
Density functional theory data (PBE) for a relaxed structure of GaCo3.

```
4
Lattice="-1.799 1.799 3.448 1.799 -1.799 3.448 1.799 1.799 -3.448" Properties=species:S:1:pos:R:3 pbc="T T T"
Ga 0.000 0.000 0.000
Co 0.000 1.799 1.724
Co 1.799 0.000 1.724
Co 0.000 0.000 3.448
```

Results
energy of formation = -31 kJ/mol of formula units
space group = I4/mmm
electronic total energy = -6.168 eV per atom
magnetic moment = 3.59 Bohr magnetons per cell

=====

8.
Density functional theory data (PBE) for a relaxed structure of Mg2Cd.

```
6
Lattice="-8.059 0.700 2.166 7.257 -3.778 -1.787 1.329 0.252 4.864" Properties=species:S:1:pos:R:3 pbc="T T T"
Mg 7.245 -3.775 -1.784
Mg 2.157 -2.287 -0.471
Mg -2.948 -0.794 0.847
Mg 1.108 -1.660 2.403
Cd 6.241 -3.161 1.079
Cd -4.006 -0.165 3.723
```

Results
energy of formation = -23 kJ/mol of formula units
space group = Amm2
electronic total energy = -1.454 eV per atom

=====

9.
Density functional theory data (PBE) for a relaxed structure of Ba2PrNbO6.

```
10
Lattice="3.446 -1.656 4.871 -1.042 -5.405 2.835 4.095 -4.613 -0.530" Properties=species:S:1:pos:R:3 pbc="T T T"
Ba 1.625 -2.919 1.794
Ba 4.874 -8.756 5.382
Pr 3.250 -5.837 3.588
Nb 0.000 0.000 0.000
O 3.355 -3.590 4.277
O 3.144 -8.084 2.898
O 3.704 -5.179 1.375
O 2.795 -6.495 5.801
O 0.943 -5.605 3.183
O 5.556 -6.069 3.992
```

Results
energy of formation = -3219 kJ/mol of formula units
space group = Fm-3m
electronic total energy = -7.765 eV per atom
total energy after the MP2020 corrections = -8.1771 eV per atom
magnetic moment = 0.00 Bohr magnetons per cell

=====

10.
Density functional theory data (PBE) for a relaxed structure of TiAl2Cr3C2.

```
8
Lattice="-2.868 0.312 0.204 1.309 -2.223 1.306 1.536 7.169 10.660" Properties=species:S:1:pos:R:3 pbc="T T T"
Ti -0.576 3.665 6.814
Al -1.098 1.227 3.189
Al 1.088 4.089 9.069
Cr 0.546 1.558 5.305
Cr 0.045 -0.779 1.830
Cr -0.061 6.072 10.393
C 0.752 3.510 5.218
C 0.003 0.015 0.023
```

Results
energy of formation = -232 kJ/mol of formula units
space group = P3m1
electronic total energy = -8.151 eV per atom
magnetic moment = 0.01 Bohr magnetons per cell

=====

11.
Density functional theory data (PBE) for a relaxed structure of ThAl2.

```
3
Lattice="3.043 2.297 1.689 -2.588 0.880 3.466 2.639 -3.538 0.058" Properties=species:S:1:pos:R:3 pbc="T T T"
Th 0.000 0.000 0.000
Al 2.418 -0.917 2.039
Al 0.676 0.556 3.174
```

Results
energy of formation = -130 kJ/mol of formula units
space group = P6/mmm
electronic total energy = -5.417 eV per atom

=====

12.
Density functional theory data (PBE) for a relaxed structure of HoGePt.

```
12
Lattice="4.358 0.000 0.000 0.000 7.028 0.000 0.000 0.000 7.620" Properties=species:S:1:pos:R:3 pbc="T T T"
Ho 1.089 3.533 5.355
Ho 1.089 0.019 6.075
Ho 3.268 3.495 2.265
Ho 3.268 7.009 1.545
Ge 1.089 5.695 3.120
Ge 1.089 2.181 0.690
Ge 3.268 1.333 4.500
Ge 3.268 4.847 6.930
Pt 1.089 1.437 3.174
Pt 1.089 4.951 0.636
Pt 3.268 5.591 4.446
Pt 3.268 2.077 6.984
```

Results
energy of formation = -327 kJ/mol of formula units
space group = Pnma
electronic total energy = -6.224 eV per atom

=====

13.
Density functional theory data (PBE) for a relaxed structure of SrCaBiSbO6.

```
10
Lattice="0.000 -4.263 -4.263 4.263 0.000 -4.263 4.263 -4.263 0.000" Properties=species:S:1:pos:R:3 pbc="T T T"
Sr 6.394 -6.394 -6.394
Ca 2.131 -2.131 -2.131
Bi 0.000 0.000 0.000
Sb 4.263 -4.263 -4.263
O 2.268 -4.263 -4.263
O 6.257 -4.263 -4.263
O 4.263 -6.257 -4.263
O 4.263 -2.268 -4.263
O 4.263 -4.263 -6.257
O 4.263 -4.263 -2.268
```

Results
energy of formation = -2224 kJ/mol of formula units
space group = F-43m
electronic total energy = -6.033 eV per atom
total energy after the MP2020 corrections = -6.4449 eV per atom
magnetic moment = 0.00 Bohr magnetons per cell

=====

14.
Density functional theory data (PBE) for a relaxed structure of HfBe2Bi.

```
4
Lattice="-0.315 -4.570 -1.195 -3.725 -2.563 1.404 -3.234 -1.403 -3.160" Properties=species:S:1:pos:R:3 pbc="T T T"
Hf -1.818 -2.134 -0.738
Be 0.000 0.000 0.000
Be -5.455 -6.402 -2.213
Bi -3.637 -4.268 -1.475
```

Results
energy of formation = 328 kJ/mol of formula units
space group = F-43m
electronic total energy = -4.482 eV per atom
magnetic moment = 0.00 Bohr magnetons per cell